Crystalline Sr4LaTi5O15 at its relaxed geometry, computed with PBE.

```
Sr4LaTi5O15
1.0
-4.0867 0.8172 7.7887
-3.0930 -4.6070 6.8731
5.0354 0.1410 4.6295
O La Sr Ti
15 1 4 5
Direct
0.6064 0.0990 0.0985
0.0983 0.0983 0.6059
0.1972 0.7046 0.7046
0.9010 0.3936 0.9015
0.5000 0.5000 0.0000
0.2999 0.2999 0.8008
0.7001 0.7001 0.1992
0.9017 0.9017 0.3941
0.0000 0.5000 0.5000
0.5000 0.0000 0.5000
0.8028 0.2954 0.2954
0.7046 0.1972 0.7046
0.0990 0.6064 0.0985
0.3936 0.9010 0.9015
0.2954 0.8028 0.2954
0.0000 0.0000 0.0000
0.6005 0.6005 0.5998
0.2003 0.2003 0.2001
0.3995 0.3995 0.4002
0.7997 0.7997 0.7999
0.3991 0.3991 0.9003
0.0000 0.0000 0.5000
0.2007 0.2007 0.6982
0.6009 0.6009 0.0997
0.7993 0.7993 0.3018
```

Properties
As for the crystal system: monoclinic. The calculation puts the energy of formation from the pure elements at -3591 meV/atom.

=====

Crystalline MgSb2 at its relaxed geometry, computed with PBE.

```
MgSb2
1.0
2.6295 -5.2140 -1.4445
5.5780 -2.0777 -0.8693
1.9384 -2.9369 6.0779
Mg Sb
2 4
Direct
0.9320 0.9320 0.6400
0.6187 0.6187 0.2234
0.6501 0.6501 0.6198
0.3217 0.3217 0.3673
0.0196 0.0196 0.0228
0.2912 0.2912 0.9600
```

Properties
As for the crystal system: monoclinic. The calculation puts the energy of formation from the pure elements at -144 meV/atom.